Si9C10NO18 | GGA-PBE | relaxed

```
76
Lattice="8.4714 -6.6472 0.0000 8.4714 6.6472 0.0000 -3.2674 0.0000 10.2204" Properties=species:S:1:pos:R:3 pbc="T T T"
Si 5.5666 5.0973 4.0469
Si -0.4733 1.5389 8.8062
Si 8.4714 5.1010 0.0000
Si 3.9984 3.5454 7.8420
Si 7.0180 3.1936 2.0252
Si 2.5032 1.5927 9.7939
Si -0.4733 -1.5389 8.8062
Si 6.7789 3.5414 6.4244
Si 2.5032 -1.5927 9.7939
Si 8.2703 1.5890 4.4749
Si 3.9984 -3.5454 7.8420
Si 11.2478 1.5430 5.4539
Si 8.2703 -1.5890 4.4749
Si 7.0180 -3.1936 2.0252
Si 5.5666 -5.0973 4.0469
Si 6.7789 -3.5414 6.4244
Si 11.2478 -1.5430 5.4539
Si 8.4714 -5.1010 0.0000
C 1.4640 0.7492 3.8053
C 2.7305 1.2544 3.3950
C 1.6480 0.0000 5.0882
C 1.4640 -0.7492 3.8053
C 3.9160 1.0569 4.0518
C 2.6621 0.0000 5.9760
C 3.7317 0.0000 2.9218
C 3.7343 0.0000 5.1612
C 2.7305 -1.2544 3.3950
C 3.9160 -1.0569 4.0518
C 10.1831 0.8077 0.1883
C 11.4145 1.5890 0.6873
C 9.4625 0.0000 1.1717
C 7.0063 0.0000 9.1809
C 8.1689 0.0000 8.3097
C 10.1831 -0.8077 0.1883
C 12.5876 0.6948 0.2684
C 9.1524 0.0000 9.2072
C 12.5876 -0.6948 0.2684
C 11.4145 -1.5890 0.6873
N 11.3752 2.6560 1.3247
N 11.3752 -2.6560 1.3247
O 4.2849 4.7433 8.9155
O 5.9434 4.1473 2.7913
O 0.9218 1.8790 9.5522
O 6.4821 4.7354 5.3504
O -0.4686 0.0000 8.2565
O 3.3651 2.2496 8.5783
O 8.0960 4.1200 1.2308
O 6.2022 2.2557 0.9855
O 6.7771 4.8956 9.8600
O 5.3903 3.0725 7.1393
O 7.8225 4.1028 7.5393
O 7.8223 2.2734 3.0803
O 2.8034 0.0000 9.8200
O 0.9218 -1.8790 9.5522
O 7.4200 2.2462 5.7012
O 9.8548 1.8824 4.7047
O 3.3651 -2.2496 8.5783
O 6.2022 -2.2557 0.9855
O 7.9629 0.0000 4.4652
O 11.4254 2.5419 6.7280
O 5.3903 -3.0725 7.1393
O 12.4629 1.7687 4.3947
O 7.8223 -2.2734 3.0803
O 7.4200 -2.2462 5.7012
O 5.9434 -4.1473 2.7913
O 11.2556 0.0000 5.9956
O 4.2849 -4.7433 8.9155
O 8.0960 -4.1200 1.2308
O 9.8548 -1.8824 4.7047
O 6.4821 -4.7354 5.3504
O 7.8225 -4.1028 7.5393
O 14.3077 0.0000 3.6354
O 12.4629 -1.7687 4.3947
O 6.7771 -4.8956 9.8600
O 16.6579 0.0000 0.4196
O 11.4254 -2.5419 6.7280
```

Its formation energy is -6392 kJ/mol of formula units. Its space group is Cm (8). The calculation puts the raw total energy at -584.79 eV for the cell shown.